No. 1
This record from the Materials Project database describes Na2Hf3Zn5S12O48 after structural relaxation. The functional is PBE-GGA.

a b c (Å): 8.759 15.175 22.801
angles (deg): 90.02 90.04 90.04
Space group P1 (No. 1)
Asymmetric unit:
Na (0.000, 0.000, 0.000) x1
Na (0.000, 0.004, 0.488) x1
Na (0.001, 0.335, 0.329) x1
Na (0.500, 0.832, 0.833) x1
Na (0.502, 0.504, 0.999) x1
Na (0.503, 0.500, 0.496) x1
Hf (0.000, 0.339, 0.682) x1
Hf (0.001, 0.336, 0.978) x1
Hf (0.001, 0.666, 0.307) x1
Hf (0.002, 0.000, 0.643) x1
Hf (0.003, 0.669, 0.810) x1
Hf (0.500, 0.169, 0.811) x1
Hf (0.501, 0.171, 0.308) x1
Hf (0.501, 0.835, 0.181) x1
Hf (0.503, 0.834, 0.474) x1
Zn (0.000, 0.005, 0.344) x1
Zn (0.000, 0.671, 0.020) x1
Zn (0.001, 0.000, 0.850) x1
Zn (0.001, 0.335, 0.179) x1
Zn (0.003, 0.004, 0.145) x1
Zn (0.499, 0.500, 0.145) x1
Zn (0.500, 0.504, 0.645) x1
Zn (0.501, 0.505, 0.847) x1
Zn (0.501, 0.829, 0.680) x1
Zn (0.501, 0.834, 0.981) x1
Zn (0.502, 0.167, 0.021) x1
Zn (0.502, 0.499, 0.345) x1
Zn (0.506, 0.174, 0.515) x1
Zn (0.997, 0.664, 0.517) x1
Zn (0.999, 0.337, 0.477) x1
S (0.142, 0.149, 0.247) x1
S (0.146, 0.859, 0.247) x1
S (0.148, 0.816, 0.915) x1
S (0.149, 0.191, 0.579) x1
S (0.151, 0.482, 0.577) x1
S (0.151, 0.524, 0.915) x1
S (0.210, 0.166, 0.915) x1
S (0.210, 0.833, 0.580) x1
S (0.212, 0.498, 0.247) x1
S (0.290, 0.665, 0.415) x1
S (0.293, 0.999, 0.748) x1
S (0.296, 0.335, 0.081) x1
S (0.352, 0.025, 0.415) x1
S (0.352, 0.982, 0.078) x1
S (0.354, 0.316, 0.415) x1
S (0.356, 0.687, 0.078) x1
S (0.357, 0.358, 0.747) x1
S (0.360, 0.649, 0.747) x1
S (0.642, 0.982, 0.581) x1
S (0.643, 0.316, 0.915) x1
S (0.643, 0.646, 0.246) x1
S (0.648, 0.022, 0.914) x1
S (0.649, 0.689, 0.580) x1
S (0.652, 0.359, 0.246) x1
S (0.707, 0.336, 0.578) x1
S (0.708, 0.668, 0.914) x1
S (0.713, 0.001, 0.246) x1
S (0.788, 0.503, 0.747) x1
S (0.795, 0.168, 0.414) x1
S (0.796, 0.837, 0.078) x1
S (0.851, 0.858, 0.748) x1
S (0.852, 0.522, 0.414) x1
S (0.854, 0.188, 0.081) x1
S (0.854, 0.483, 0.081) x1
S (0.858, 0.147, 0.748) x1
S (0.863, 0.815, 0.415) x1
O (0.074, 0.895, 0.195) x1
O (0.075, 0.110, 0.300) x1
O (0.075, 0.226, 0.527) x1
O (0.076, 0.100, 0.589) x1
O (0.076, 0.436, 0.921) x1
O (0.076, 0.568, 0.574) x1
O (0.077, 0.904, 0.907) x1
O (0.079, 0.238, 0.241) x1
O (0.080, 0.768, 0.257) x1
O (0.081, 0.565, 0.861) x1
O (0.082, 0.774, 0.966) x1
O (0.083, 0.437, 0.632) x1
O (0.109, 0.422, 0.241) x1
O (0.110, 0.090, 0.907) x1
O (0.111, 0.758, 0.571) x1
O (0.112, 0.580, 0.257) x1
O (0.112, 0.760, 0.860) x1
O (0.112, 0.916, 0.586) x1
O (0.114, 0.244, 0.632) x1
O (0.115, 0.248, 0.920) x1
O (0.122, 0.578, 0.966) x1
O (0.123, 0.095, 0.194) x1
O (0.124, 0.426, 0.526) x1
O (0.127, 0.911, 0.300) x1
O (0.185, 0.990, 0.086) x1
O (0.186, 0.322, 0.417) x1
O (0.187, 0.012, 0.408) x1
O (0.189, 0.345, 0.736) x1
O (0.189, 0.658, 0.757) x1
O (0.190, 0.682, 0.074) x1
O (0.191, 0.348, 0.027) x1
O (0.194, 0.014, 0.694) x1
O (0.194, 0.681, 0.362) x1
O (0.197, 0.654, 0.467) x1
O (0.198, 0.987, 0.800) x1
O (0.202, 0.323, 0.133) x1
O (0.301, 0.823, 0.633) x1
O (0.302, 0.516, 0.194) x1
O (0.303, 0.486, 0.300) x1
O (0.306, 0.153, 0.966) x1
O (0.307, 0.180, 0.861) x1
O (0.309, 0.851, 0.527) x1
O (0.313, 0.157, 0.257) x1
O (0.313, 0.179, 0.574) x1
O (0.313, 0.846, 0.237) x1
O (0.316, 0.512, 0.907) x1
O (0.316, 0.822, 0.916) x1
O (0.317, 0.490, 0.586) x1
O (0.376, 0.411, 0.799) x1
O (0.377, 0.927, 0.026) x1
O (0.379, 0.596, 0.694) x1
O (0.380, 0.078, 0.468) x1
O (0.386, 0.748, 0.421) x1
O (0.387, 0.081, 0.754) x1
O (0.389, 0.257, 0.071) x1
O (0.389, 0.416, 0.083) x1
O (0.390, 0.260, 0.361) x1
O (0.391, 0.744, 0.132) x1
O (0.392, 0.590, 0.407) x1
O (0.393, 0.923, 0.740) x1
O (0.419, 0.936, 0.131) x1
O (0.420, 0.276, 0.467) x1
O (0.422, 0.065, 0.362) x1
O (0.423, 0.268, 0.757) x1
O (0.424, 0.739, 0.741) x1
O (0.425, 0.404, 0.407) x1
O (0.426, 0.727, 0.026) x1
O (0.427, 0.067, 0.074) x1
O (0.427, 0.600, 0.086) x1
O (0.427, 0.609, 0.800) x1
O (0.427, 0.936, 0.423) x1
O (0.428, 0.394, 0.694) x1
O (0.573, 0.602, 0.583) x1
O (0.574, 0.610, 0.300) x1
O (0.574, 0.935, 0.916) x1
O (0.575, 0.735, 0.527) x1
O (0.576, 0.274, 0.966) x1
O (0.578, 0.404, 0.906) x1
O (0.579, 0.268, 0.256) x1
O (0.579, 0.736, 0.237) x1
O (0.580, 0.069, 0.571) x1
O (0.581, 0.395, 0.194) x1
O (0.581, 0.941, 0.633) x1
O (0.582, 0.068, 0.860) x1
O (0.611, 0.079, 0.257) x1
O (0.611, 0.924, 0.237) x1
O (0.612, 0.415, 0.587) x1
O (0.612, 0.589, 0.907) x1
O (0.614, 0.749, 0.916) x1
O (0.616, 0.256, 0.575) x1
O (0.616, 0.260, 0.860) x1
O (0.619, 0.076, 0.966) x1
O (0.620, 0.924, 0.528) x1
O (0.622, 0.742, 0.633) x1
O (0.624, 0.592, 0.194) x1
O (0.627, 0.411, 0.300) x1
O (0.686, 0.489, 0.083) x1
O (0.686, 0.514, 0.406) x1
O (0.686, 0.847, 0.740) x1
O (0.690, 0.156, 0.754) x1
O (0.691, 0.181, 0.071) x1
O (0.691, 0.822, 0.421) x1
O (0.693, 0.826, 0.132) x1
O (0.694, 0.178, 0.361) x1
O (0.699, 0.485, 0.799) x1
O (0.699, 0.519, 0.694) x1
O (0.700, 0.852, 0.026) x1
O (0.702, 0.154, 0.467) x1
O (0.802, 0.984, 0.300) x1
O (0.803, 0.656, 0.966) x1
O (0.804, 0.019, 0.194) x1
O (0.804, 0.351, 0.526) x1
O (0.809, 0.679, 0.860) x1
O (0.810, 0.325, 0.632) x1
O (0.812, 0.322, 0.920) x1
O (0.812, 0.659, 0.256) x1
O (0.812, 0.682, 0.571) x1
O (0.815, 0.014, 0.906) x1
O (0.816, 0.989, 0.586) x1
O (0.818, 0.346, 0.241) x1
O (0.879, 0.912, 0.800) x1
O (0.881, 0.575, 0.467) x1
O (0.883, 0.241, 0.133) x1
O (0.884, 0.090, 0.694) x1
O (0.886, 0.424, 0.027) x1
O (0.886, 0.757, 0.075) x1
O (0.887, 0.760, 0.361) x1
O (0.889, 0.249, 0.417) x1
O (0.891, 0.424, 0.737) x1
O (0.891, 0.580, 0.756) x1
O (0.892, 0.088, 0.407) x1
O (0.892, 0.916, 0.086) x1
O (0.920, 0.442, 0.133) x1
O (0.920, 0.568, 0.361) x1
O (0.922, 0.900, 0.694) x1
O (0.924, 0.235, 0.736) x1
O (0.924, 0.568, 0.071) x1
O (0.926, 0.234, 0.027) x1
O (0.926, 0.770, 0.754) x1
O (0.926, 0.904, 0.407) x1
O (0.928, 0.109, 0.799) x1
O (0.928, 0.435, 0.416) x1
O (0.928, 0.775, 0.467) x1
O (0.929, 0.101, 0.083) x1

Results
ΔH_f (0 K), meV per atom: -2180
Magnetization, μB/atom: 0.000

No. 2
This record from the Materials Project database describes CeTl2P2S7 after structural relaxation. The functional is PBE-GGA.

a b c (Å): 9.399 6.787 20.903
angles (deg): 90.00 108.91 90.00
Space group P2_1/c (No. 14)
Asymmetric unit:
Ce (0.162, 0.024, 0.348) x4
Tl (0.254, 0.514, 0.510) x4
Tl (0.322, 0.009, 0.686) x4
P (0.068, 0.511, 0.666) x4
P (0.467, 0.007, 0.547) x4
S (0.025, 0.238, 0.107) x4
S (0.049, 0.747, 0.602) x4
S (0.087, 0.058, 0.783) x4
S (0.242, 0.021, 0.511) x4
S (0.277, 0.001, 0.235) x4
S (0.426, 0.744, 0.901) x4
S (0.446, 0.240, 0.400) x4

Results
ΔH_f (0 K), meV per atom: -1021
Magnetization, μB/atom: 0.083

No. 3
This record from the Materials Project database describes CsRb2DyCl6 after structural relaxation. The functional is PBE-GGA.

a b c (Å): 11.806 11.806 11.806
angles (deg): 90.00 90.00 90.00
Space group Fm-3m (No. 225)
Asymmetric unit:
Cs (0.000, 0.000, 0.000) x4
Rb (0.250, 0.250, 0.250) x8
Dy (0.000, 0.000, 0.500) x4
Cl (0.000, 0.000, 0.277) x24

Results
ΔH_f (0 K), meV per atom: -2426
Magnetization, μB/atom: 0.001

No. 4
This record from the Materials Project database describes NaSnSb after structural relaxation. The functional is PBE-GGA.

a b c (Å): 4.3704 4.3704 11.8975
angles (deg): 90.00 90.00 120.00
Space group P6_3mc (No. 186)
Asymmetric unit:
Na (0.3333, 0.6667, 0.0000) x2
Sn (0.0000, 0.0000, 0.3057) x2
Sb (0.3333, 0.6667, 0.6809) x2

Results
ΔH_f (0 K), meV per atom: -297

No. 5
This record from the Materials Project database describes ErCdPd2 after structural relaxation. The functional is PBE-GGA.

a b c (Å): 6.756 6.756 6.756
angles (deg): 90.00 90.00 90.00
Space group Fm-3m (No. 225)
Asymmetric unit:
Er (0.000, 0.000, 0.000) x4
Cd (0.000, 0.000, 0.500) x4
Pd (0.250, 0.250, 0.250) x8

Results
ΔH_f (0 K), meV per atom: -755

No. 6
This record from the Materials Project database describes CsVC6 after structural relaxation. The functional is PBE-GGA.

a b c (Å): 5.300 5.300 5.300
angles (deg): 90.00 90.00 90.00
Space group Pm-3m (No. 221)
Asymmetric unit:
Cs (0.000, 0.000, 0.000) x1
V (0.500, 0.500, 0.500) x1
C (0.120, 0.500, 0.500) x6

Results
ΔH_f (0 K), meV per atom: 898
Magnetization, μB/atom: 0.008

No. 7
This record from the Materials Project database describes Rh2O3 after structural relaxation. The functional is PBE-GGA.

a b c (Å): 8.597 8.868 5.235
angles (deg): 90.00 113.70 90.00
Space group C2/c (No. 15)
Asymmetric unit:
Rh (0.201, 0.006, 0.157) x8
O (0.000, 0.064, 0.250) x4
O (0.168, 0.403, 0.497) x8

Results
ΔH_f (0 K), meV per atom: -529
Magnetization, μB/atom: 0.000

No. 8
This record from the Materials Project database describes H8RuC5NCl3O3 after structural relaxation. The functional is PBE-GGA.

a b c (Å): 11.766 9.999 11.794
angles (deg): 90.00 119.10 90.00
Space group P2_1/c (No. 14)
Asymmetric unit:
H (0.001, 0.113, 0.326) x4
H (0.003, 0.149, 0.860) x4
H (0.023, 0.656, 0.039) x4
H (0.078, 0.725, 0.860) x4
H (0.148, 0.654, 0.657) x4
H (0.156, 0.573, 0.850) x4
H (0.159, 0.606, 0.192) x4
H (0.239, 0.731, 0.878) x4
Ru (0.328, 0.126, 0.138) x4
C (0.066, 0.659, 0.145) x4
C (0.144, 0.680, 0.829) x4
C (0.314, 0.186, 0.620) x4
C (0.413, 0.134, 0.321) x4
C (0.486, 0.120, 0.131) x4
N (0.086, 0.699, 0.686) x4
Cl (0.120, 0.121, 0.135) x4
Cl (0.211, 0.109, 0.901) x4
Cl (0.338, 0.620, 0.653) x4
O (0.301, 0.072, 0.607) x4
O (0.420, 0.613, 0.375) x4
O (0.464, 0.138, 0.433) x4

Results
ΔH_f (0 K), meV per atom: -625
Magnetization, μB/atom: 0.000

No. 9
This record from the Materials Project database describes RbVN2 after structural relaxation. The functional is PBE-GGA.

a b c (Å): 5.841 5.841 8.307
angles (deg): 90.00 90.00 90.00
Space group I-42d (No. 122)
Asymmetric unit:
Rb (0.000, 0.000, 0.000) x4
V (0.000, 0.000, 0.500) x4
N (0.043, 0.250, 0.625) x8

Results
ΔH_f (0 K), meV per atom: -916
Maximum piezoelectric response, C/m2: 1.446